[1]
A geometry-optimized Cu3As structure. Source: the Materials Project database, functional GGA-PBE.

Unit cell a=7.0312 b=7.0312 c=7.5730 alpha=90.00 beta=90.00 gamma=120.00
Closest atoms and distances in Å follow each position.
Positions (direct):
Cu1 0.0000 0.0000 0.0000  6 Cu 2.64, 6 As 2.85
Cu2 0.0000 0.0000 0.5000  6 Cu 2.64, 6 As 2.85
Cu3 0.0637 0.3924 0.4166  3 As 2.42-2.71, 5 Cu 2.46-2.67
Cu4 0.0637 0.6713 0.9166  3 As 2.42-2.71, 5 Cu 2.46-2.67
Cu5 0.3287 0.3924 0.9166  3 As 2.42-2.71, 5 Cu 2.46-2.67
Cu6 0.3287 0.9363 0.4166  3 As 2.42-2.71, 5 Cu 2.46-2.67
Cu7 0.3333 0.6667 0.1597  3 As 2.55, 9 Cu 2.65-2.73
Cu8 0.3333 0.6667 0.6597  3 As 2.55, 9 Cu 2.65-2.73
Cu9 0.3924 0.0637 0.0834  3 As 2.42-2.71, 5 Cu 2.46-2.67
Cu10 0.3924 0.3287 0.5834  3 As 2.42-2.71, 5 Cu 2.46-2.67
Cu11 0.6076 0.6713 0.4166  3 As 2.42-2.71, 5 Cu 2.46-2.67
Cu12 0.6076 0.9363 0.9166  3 As 2.42-2.71, 5 Cu 2.46-2.67
Cu13 0.6667 0.3333 0.3403  3 As 2.55, 9 Cu 2.65-2.73
Cu14 0.6667 0.3333 0.8403  3 As 2.55, 9 Cu 2.65-2.73
Cu15 0.6713 0.0637 0.5834  3 As 2.42-2.71, 5 Cu 2.46-2.67
Cu16 0.6713 0.6076 0.0834  3 As 2.42-2.71, 5 Cu 2.46-2.67
Cu17 0.9363 0.3287 0.0834  3 As 2.42-2.71, 5 Cu 2.46-2.67
Cu18 0.9363 0.6076 0.5834  3 As 2.42-2.71, 5 Cu 2.46-2.67
As1 0.0000 0.3033 0.7500  8 Cu 2.42-2.71
As2 0.0000 0.6967 0.2500  8 Cu 2.42-2.71
As3 0.3033 0.0000 0.7500  8 Cu 2.42-2.71
As4 0.3033 0.3033 0.2500  8 Cu 2.42-2.71
As5 0.6967 0.0000 0.2500  8 Cu 2.42-2.71
As6 0.6967 0.6967 0.7500  8 Cu 2.42-2.71

Properties
ΔE_f   68 meV per atom
Total magnetic moment   0.00 Bohr magnetons per cell
Calculated total energy   -4.171 eV per atom

[2]
A geometry-optimized SrCuSi4O10 structure. Source: the Materials Project database, functional GGA-PBE.

Unit cell a=7.4454 b=7.4454 c=15.9289 alpha=90.00 beta=90.00 gamma=90.00
Closest atoms and distances in Å follow each position.
Positions (direct):
Sr1 0.2500 0.7500 0.0000  8 O 2.55-2.81
Sr2 0.2500 0.7500 0.5000  8 O 2.55-2.81
Sr3 0.7500 0.2500 0.0000  8 O 2.55-2.81
Sr4 0.7500 0.2500 0.5000  8 O 2.55-2.81
Cu1 0.2500 0.2500 0.0903  4 O 1.95
Cu2 0.2500 0.2500 0.5903  4 O 1.95
Cu3 0.7500 0.7500 0.4097  4 O 1.95
Cu4 0.7500 0.7500 0.9097  4 O 1.95
Si1 0.0076 0.0698 0.3486  4 O 1.61-1.65
Si2 0.0076 0.4302 0.8486  4 O 1.61-1.65
Si3 0.0698 0.0076 0.8486  4 O 1.61-1.65
Si4 0.0698 0.4924 0.3486  4 O 1.61-1.65
Si5 0.4302 0.0076 0.3486  4 O 1.61-1.65
Si6 0.4302 0.4924 0.8486  4 O 1.61-1.65
Si7 0.4924 0.0698 0.8486  4 O 1.61-1.65
Si8 0.4924 0.4302 0.3486  4 O 1.61-1.65
Si9 0.5076 0.5698 0.6514  4 O 1.61-1.65
Si10 0.5076 0.9302 0.1514  4 O 1.61-1.65
Si11 0.5698 0.5076 0.1514  4 O 1.61-1.65
Si12 0.5698 0.9924 0.6514  4 O 1.61-1.65
Si13 0.9302 0.5076 0.6514  4 O 1.61-1.65
Si14 0.9302 0.9924 0.1514  4 O 1.61-1.65
Si15 0.9924 0.5698 0.1514  4 O 1.61-1.65
Si16 0.9924 0.9302 0.6514  4 O 1.61-1.65
O1 0.0013 0.7125 0.6314  2 Si 1.65
O2 0.0013 0.7875 0.1314  2 Si 1.65
O3 0.0140 0.1362 0.0872  1 Si 1.61
O4 0.0140 0.3638 0.5872  1 Si 1.61
O5 0.0347 0.5347 0.2500  2 Si 1.62
O6 0.0347 0.9653 0.7500  2 Si 1.62
O7 0.1362 0.0140 0.5872  1 Si 1.61
O8 0.1362 0.4860 0.0872  1 Si 1.61
O9 0.2125 0.5013 0.8686  2 Si 1.65
O10 0.2125 0.9987 0.3686  2 Si 1.65
O11 0.2875 0.5013 0.3686  2 Si 1.65
O12 0.2875 0.9987 0.8686  2 Si 1.65
O13 0.3638 0.0140 0.0872  1 Si 1.61
O14 0.3638 0.4860 0.5872  1 Si 1.61
O15 0.4653 0.5347 0.7500  2 Si 1.62
O16 0.4653 0.9653 0.2500  2 Si 1.62
O17 0.4860 0.1362 0.5872  1 Si 1.61
O18 0.4860 0.3638 0.0872  1 Si 1.61
O19 0.4987 0.7125 0.1314  2 Si 1.65
O20 0.4987 0.7875 0.6314  2 Si 1.65
O21 0.5013 0.2125 0.3686  2 Si 1.65
O22 0.5013 0.2875 0.8686  2 Si 1.65
O23 0.5140 0.6362 0.9128  1 Si 1.61
O24 0.5140 0.8638 0.4128  1 Si 1.61
O25 0.5347 0.0347 0.7500  2 Si 1.62
O26 0.5347 0.4653 0.2500  2 Si 1.62
O27 0.6362 0.5140 0.4128  1 Si 1.61
O28 0.6362 0.9860 0.9128  1 Si 1.61
O29 0.7125 0.0013 0.1314  2 Si 1.65
O30 0.7125 0.4987 0.6314  2 Si 1.65
O31 0.7875 0.0013 0.6314  2 Si 1.65
O32 0.7875 0.4987 0.1314  2 Si 1.65
O33 0.8638 0.5140 0.9128  1 Si 1.61
O34 0.8638 0.9860 0.4128  1 Si 1.61
O35 0.9653 0.0347 0.2500  2 Si 1.62
O36 0.9653 0.4653 0.7500  2 Si 1.62
O37 0.9860 0.6362 0.4128  1 Si 1.61
O38 0.9860 0.8638 0.9128  1 Si 1.61
O39 0.9987 0.2125 0.8686  2 Si 1.65
O40 0.9987 0.2875 0.3686  2 Si 1.65

Properties
ΔE_f   -3015 meV per atom
Total magnetic moment   4.08 Bohr magnetons per cell
Calculated total energy   -7.396 eV per atom

[3]
A geometry-optimized CoTe structure. Source: the Materials Project database, functional GGA-PBE.

Unit cell a=3.9092 b=3.9092 c=5.3035 alpha=90.00 beta=90.00 gamma=120.00
Closest atoms and distances in Å follow each position.
Positions (direct):
Co1 0.0000 0.0000 0.0000  6 Te 2.62, 2 Co 2.65
Co2 0.0000 0.0000 0.5000  6 Te 2.62, 2 Co 2.65
Te1 0.3333 0.6667 0.2500  6 Co 2.62
Te2 0.6667 0.3333 0.7500  6 Co 2.62

Properties
ΔE_f   -276 meV per atom
Total magnetic moment   0.01 Bohr magnetons per cell
Calculated total energy   -5.190 eV per atom

[4]
A geometry-optimized TeAsOs structure. Source: the Materials Project database, functional GGA-PBE.

Unit cell a=6.4142 b=6.3663 c=6.5338 alpha=90.00 beta=113.36 gamma=90.00
Closest atoms and distances in Å follow each position.
Positions (direct):
Te1 0.1616 0.1296 0.3115  3 Os 2.61-2.62, 1 As 2.74
Te2 0.1616 0.3704 0.8115  3 Os 2.61-2.62, 1 As 2.74
Te3 0.8384 0.6296 0.1885  3 Os 2.61-2.62, 1 As 2.74
Te4 0.8384 0.8704 0.6885  3 Os 2.61-2.62, 1 As 2.74
As1 0.3605 0.6364 0.6112  3 Os 2.55, 1 Te 2.74
As2 0.3605 0.8636 0.1112  3 Os 2.55, 1 Te 2.74
As3 0.6395 0.1364 0.8888  3 Os 2.55, 1 Te 2.74
As4 0.6395 0.3636 0.3888  3 Os 2.55, 1 Te 2.74
Os1 0.2370 0.5103 0.2095  3 As 2.55, 3 Te 2.61-2.62
Os2 0.2370 0.9897 0.7095  3 As 2.55, 3 Te 2.61-2.62
Os3 0.7630 0.0103 0.2905  3 As 2.55, 3 Te 2.61-2.62
Os4 0.7630 0.4897 0.7905  3 As 2.55, 3 Te 2.61-2.62

Properties
ΔE_f   -86 meV per atom
Total magnetic moment   0.00 Bohr magnetons per cell
Calculated total energy   -6.429 eV per atom

[5]
A geometry-optimized Tb3Ge5 structure. Source: the Materials Project database, functional GGA-PBE.

Unit cell a=6.9332 b=6.9332 c=8.4025 alpha=90.00 beta=90.00 gamma=120.00
Closest atoms and distances in Å follow each position.
Positions (direct):
Tb1 0.0000 0.3313 0.0000  8 Ge 2.97-3.13
Tb2 0.0000 0.3313 0.5000  8 Ge 2.97-3.13
Tb3 0.3313 0.0000 0.0000  8 Ge 2.97-3.13
Tb4 0.3313 0.0000 0.5000  8 Ge 2.97-3.13
Tb5 0.6687 0.6687 0.0000  8 Ge 2.97-3.13
Tb6 0.6687 0.6687 0.5000  8 Ge 2.97-3.13
Ge1 0.0000 0.0000 0.2500  3 Ge 2.58
Ge2 0.0000 0.0000 0.7500  3 Ge 2.58
Ge3 0.0705 0.6686 0.2500  2 Ge 2.58-2.59
Ge4 0.3314 0.4019 0.2500  2 Ge 2.58-2.59
Ge5 0.3333 0.6667 0.7500  3 Ge 2.59
Ge6 0.4019 0.3314 0.7500  2 Ge 2.58-2.59
Ge7 0.5981 0.9295 0.2500  2 Ge 2.58-2.59
Ge8 0.6667 0.3333 0.2500  3 Ge 2.59
Ge9 0.6686 0.0705 0.7500  2 Ge 2.58-2.59
Ge10 0.9295 0.5981 0.7500  2 Ge 2.58-2.59

Properties
ΔE_f   -724 meV per atom
Calculated total energy   -5.351 eV per atom

[6]
A geometry-optimized Y2CoRu3 structure. Source: the Materials Project database, functional GGA-PBE.

Unit cell a=5.2891 b=5.2891 c=5.2891 alpha=59.78 beta=59.78 gamma=59.78
Closest atoms and distances in Å follow each position.
Positions (direct):
Y1 0.1243 0.1243 0.1243  9 Ru 3.09-3.11, 3 Co 3.09, 4 Y 3.23-3.24
Y2 0.8757 0.8757 0.8757  9 Ru 3.09-3.11, 3 Co 3.09, 4 Y 3.23-3.24
Co1 0.5000 0.5000 0.5000  6 Ru 2.64
Ru1 0.0000 0.5000 0.5000  4 Ru 2.64, 2 Co 2.64
Ru2 0.5000 0.0000 0.5000  4 Ru 2.64, 2 Co 2.64
Ru3 0.5000 0.5000 0.0000  4 Ru 2.64, 2 Co 2.64

Properties
ΔE_f   -279 meV per atom
Calculated total energy   -8.256 eV per atom